# 1
The following is a PBE calculation of a relaxed CaB6O15 crystal, from the Materials Project database.

Output
Size of the total moment   2.00 μB/f.u.
ΔE_f   -1.704 eV/atom

```
CaB6O15
1.0
14.517 0.000 0.000
0.000 6.601 0.000
0.000 6.407 11.382
Ca B O
4 24 60
Direct
0.786 0.345 0.300 Ca
0.286 0.655 0.200 Ca
0.214 0.655 0.700 Ca
0.714 0.345 0.800 Ca
0.737 0.722 0.865 B
0.237 0.278 0.635 B
0.263 0.278 0.135 B
0.763 0.722 0.365 B
0.809 0.421 0.049 B
0.309 0.579 0.451 B
0.191 0.579 0.951 B
0.691 0.421 0.549 B
0.777 0.819 0.015 B
0.277 0.181 0.485 B
0.223 0.181 0.985 B
0.723 0.819 0.515 B
0.815 0.984 0.150 B
0.315 0.016 0.350 B
0.185 0.016 0.850 B
0.685 0.984 0.650 B
0.960 0.212 0.085 B
0.460 0.788 0.415 B
0.040 0.788 0.915 B
0.540 0.212 0.585 B
0.526 0.469 0.241 B
0.026 0.531 0.259 B
0.474 0.531 0.759 B
0.974 0.469 0.741 B
0.785 0.771 0.254 O
0.285 0.229 0.246 O
0.215 0.229 0.746 O
0.715 0.771 0.754 O
0.755 0.490 0.941 O
0.255 0.510 0.559 O
0.245 0.510 0.059 O
0.745 0.490 0.441 O
0.743 0.888 0.901 O
0.243 0.112 0.599 O
0.257 0.112 0.099 O
0.757 0.888 0.401 O
0.797 0.590 0.090 O
0.297 0.410 0.410 O
0.203 0.410 0.910 O
0.703 0.590 0.590 O
0.908 0.408 0.022 O
0.408 0.592 0.478 O
0.092 0.592 0.978 O
0.592 0.408 0.522 O
0.783 0.196 0.150 O
0.283 0.804 0.350 O
0.217 0.804 0.850 O
0.717 0.196 0.650 O
0.784 0.991 0.042 O
0.284 0.009 0.458 O
0.216 0.009 0.958 O
0.716 0.991 0.542 O
0.918 0.998 0.154 O
0.418 0.002 0.346 O
0.082 0.002 0.846 O
0.582 0.998 0.654 O
0.054 0.210 0.083 O
0.554 0.790 0.417 O
0.946 0.790 0.917 O
0.446 0.210 0.583 O
0.596 0.299 0.296 O
0.096 0.701 0.204 O
0.404 0.701 0.704 O
0.904 0.299 0.796 O
0.615 0.548 0.193 O
0.115 0.452 0.307 O
0.385 0.452 0.807 O
0.885 0.548 0.693 O
0.441 0.526 0.236 O
0.941 0.474 0.264 O
0.559 0.474 0.764 O
0.059 0.526 0.736 O
0.924 0.137 0.451 O
0.424 0.863 0.049 O
0.076 0.863 0.549 O
0.576 0.137 0.951 O
0.004 0.807 0.415 O
0.504 0.193 0.085 O
0.996 0.193 0.585 O
0.496 0.807 0.915 O
0.581 0.172 0.042 O
0.081 0.828 0.458 O
0.419 0.828 0.958 O
0.919 0.172 0.542 O
```


# 2
The following is a PBE calculation of a relaxed CaB3O10 crystal, from the Materials Project database.

Output
Size of the total moment   0.00 μB/f.u.
ΔE_f   -1.474 eV/atom

```
CaB3O10
1.0
0.604 -0.410 6.238
5.711 -0.180 -0.748
-2.207 9.066 -2.500
Ca B O
2 6 20
Direct
0.806 0.821 0.616 Ca
0.194 0.179 0.384 Ca
0.816 0.723 0.289 B
0.184 0.277 0.711 B
0.324 0.871 0.639 B
0.676 0.129 0.361 B
0.459 0.828 0.130 B
0.541 0.172 0.870 B
0.055 0.733 0.275 O
0.945 0.267 0.725 O
0.176 0.699 0.671 O
0.824 0.301 0.329 O
0.269 0.724 0.006 O
0.731 0.276 0.994 O
0.654 0.717 0.141 O
0.346 0.283 0.859 O
0.393 0.767 0.503 O
0.607 0.233 0.497 O
0.454 0.036 0.239 O
0.546 0.964 0.761 O
0.772 0.547 0.370 O
0.228 0.453 0.630 O
0.810 0.940 0.397 O
0.190 0.060 0.603 O
0.007 0.906 0.957 O
0.993 0.094 0.043 O
0.217 0.606 0.368 O
0.783 0.394 0.632 O
```


# 3
The following is a PBE calculation of a relaxed CaB4O7 crystal, from the Materials Project database.

Output
ΔE_f   -3.025 eV/atom

```
CaB4O7
1.0
9.971 0.000 0.000
0.000 7.915 0.000
0.000 7.486 12.479
Ca B O
8 32 56
Direct
0.115 0.489 0.845 Ca
0.917 0.858 0.438 Ca
0.885 0.511 0.155 Ca
0.417 0.142 0.062 Ca
0.583 0.858 0.938 Ca
0.385 0.489 0.345 Ca
0.615 0.511 0.655 Ca
0.083 0.142 0.562 Ca
0.671 0.225 0.369 B
0.569 0.416 0.182 B
0.171 0.775 0.131 B
0.709 0.369 0.053 B
0.209 0.631 0.447 B
0.291 0.631 0.947 B
0.431 0.584 0.818 B
0.914 0.209 0.036 B
0.414 0.791 0.464 B
0.392 0.199 0.654 B
0.069 0.584 0.318 B
0.110 0.275 0.303 B
0.321 0.276 0.209 B
0.390 0.275 0.803 B
0.610 0.725 0.197 B
0.086 0.791 0.964 B
0.329 0.775 0.631 B
0.890 0.725 0.697 B
0.108 0.199 0.154 B
0.679 0.724 0.791 B
0.821 0.724 0.291 B
0.931 0.416 0.682 B
0.791 0.369 0.553 B
0.829 0.225 0.869 B
0.608 0.801 0.346 B
0.708 0.062 0.042 B
0.208 0.938 0.458 B
0.179 0.276 0.709 B
0.586 0.209 0.536 B
0.792 0.062 0.542 B
0.892 0.801 0.846 B
0.292 0.938 0.958 B
0.553 0.810 0.429 O
0.424 0.718 0.583 O
0.720 0.112 0.928 O
0.027 0.427 0.302 O
0.053 0.190 0.071 O
0.748 0.813 0.339 O
0.668 0.282 0.262 O
0.336 0.967 0.408 O
0.654 0.374 0.545 O
0.148 0.497 0.424 O
0.527 0.573 0.198 O
0.039 0.229 0.226 O
0.048 0.304 0.679 O
0.388 0.101 0.911 O
0.748 0.655 0.735 O
0.164 0.967 0.908 O
0.154 0.626 0.955 O
0.252 0.187 0.661 O
0.352 0.497 0.924 O
0.461 0.229 0.726 O
0.473 0.427 0.802 O
0.952 0.696 0.321 O
0.364 0.764 0.960 O
0.248 0.187 0.161 O
0.332 0.718 0.738 O
0.888 0.899 0.589 O
0.780 0.112 0.428 O
0.636 0.236 0.040 O
0.076 0.718 0.083 O
0.452 0.304 0.179 O
0.973 0.573 0.698 O
0.752 0.655 0.235 O
0.836 0.033 0.092 O
0.832 0.282 0.762 O
0.664 0.033 0.592 O
0.961 0.771 0.774 O
0.252 0.345 0.265 O
0.168 0.718 0.238 O
0.576 0.282 0.417 O
0.447 0.190 0.571 O
0.612 0.899 0.089 O
0.112 0.101 0.411 O
0.548 0.696 0.821 O
0.947 0.810 0.929 O
0.924 0.282 0.917 O
0.752 0.813 0.839 O
0.539 0.771 0.274 O
0.346 0.626 0.455 O
0.648 0.503 0.076 O
0.220 0.888 0.572 O
0.852 0.503 0.576 O
0.864 0.236 0.540 O
0.248 0.345 0.765 O
0.136 0.764 0.460 O
0.280 0.888 0.072 O
0.846 0.374 0.045 O
```


# 4
The following is a PBE calculation of a relaxed CaB4O7 crystal, from the Materials Project database.

Output
Maximum piezoelectric response   1.7 C/m2
Size of the total moment   0.00 μB/f.u.
ΔE_f   -2.995 eV/atom

```
CaB4O7
1.0
4.235 0.000 0.000
0.000 4.415 0.000
0.000 0.000 10.721
Ca B O
2 8 14
Direct
0.587 0.810 0.500 Ca
0.087 0.190 0.000 Ca
0.616 0.178 0.749 B
0.116 0.822 0.751 B
0.591 0.673 0.879 B
0.091 0.327 0.621 B
0.091 0.327 0.379 B
0.591 0.673 0.121 B
0.116 0.822 0.249 B
0.616 0.178 0.251 B
0.167 0.647 0.361 O
0.667 0.353 0.861 O
0.167 0.647 0.639 O
0.753 0.273 0.366 O
0.753 0.273 0.634 O
0.253 0.727 0.866 O
0.701 0.778 0.000 O
0.201 0.222 0.500 O
0.758 0.865 0.777 O
0.258 0.135 0.723 O
0.258 0.135 0.277 O
0.758 0.865 0.223 O
0.253 0.727 0.134 O
0.667 0.353 0.139 O
```


# 5
The following is a PBE calculation of a relaxed CaB3O9 crystal, from the Materials Project database.

Output
Size of the total moment   6.00 μB/f.u.
ΔE_f   -1.714 eV/atom

```
CaB3O9
1.0
6.515 0.000 0.000
-1.674 6.506 0.000
-0.392 -0.618 8.105
Ca B O
2 6 18
Direct
0.264 0.016 0.652 Ca
0.736 0.984 0.348 Ca
0.463 0.335 0.179 B
0.537 0.665 0.821 B
0.178 0.322 0.365 B
0.822 0.678 0.635 B
0.292 0.981 0.260 B
0.708 0.019 0.740 B
0.336 0.428 0.266 O
0.664 0.572 0.734 O
0.472 0.132 0.199 O
0.528 0.868 0.801 O
0.126 0.081 0.334 O
0.874 0.919 0.666 O
0.602 0.438 0.069 O
0.398 0.562 0.931 O
0.217 0.332 0.540 O
0.783 0.668 0.460 O
0.962 0.335 0.342 O
0.038 0.665 0.658 O
0.359 0.877 0.390 O
0.641 0.123 0.610 O
0.174 0.831 0.132 O
0.826 0.169 0.868 O
0.159 0.153 0.910 O
0.841 0.847 0.090 O
```


# 6
The following is a PBE calculation of a relaxed CaB2O8 crystal, from the Materials Project database.

Output
Size of the total moment   8.00 μB/f.u.
ΔE_f   -1.426 eV/atom

```
CaB2O8
1.0
-0.152 -2.771 5.376
3.699 -6.132 -0.652
6.218 1.136 3.789
Ca B O
2 4 16
Direct
0.189 0.261 0.788 Ca
0.811 0.739 0.212 Ca
0.817 0.004 0.764 B
0.183 0.996 0.236 B
0.391 0.437 0.258 B
0.609 0.563 0.742 B
0.607 0.082 0.703 O
0.393 0.918 0.297 O
0.771 0.050 0.959 O
0.229 0.950 0.041 O
0.023 0.088 0.644 O
0.977 0.912 0.356 O
0.097 0.207 0.184 O
0.903 0.793 0.816 O
0.493 0.225 0.281 O
0.507 0.775 0.719 O
0.410 0.465 0.825 O
0.590 0.535 0.175 O
0.284 0.452 0.465 O
0.716 0.548 0.535 O
0.207 0.515 0.163 O
0.793 0.485 0.837 O
```


> Which of these has the lowest ΔE_f?

number 3